Material: PmHgRh2
Method: DFT, meta-GGA r2SCAN
State: optimized geometry Values from VASP.

Summary:
- calculated total energy (eV per atom) = -32.238
- E_form (eV per atom) = -0.443
- V (A^3/atom) = 18.8
- SG = Fm-3m (225)

```
&SYSTEM
  ibrav = 0, nat = 4, ntyp = 3
/
ATOMIC_SPECIES
Pm 145.00 Pm.upf
Hg 200.59 Hg.upf
Rh 102.91 Rh.upf
ATOMIC_POSITIONS angstrom
Pm 0.0000 0.0000 0.0000
Hg 3.3491 3.3491 3.3491
Rh 1.6746 1.6746 1.6746
Rh 5.0237 5.0237 5.0237
CELL_PARAMETERS angstrom
0.0000 3.3491 3.3491
3.3491 0.0000 3.3491
3.3491 3.3491 0.0000
```